NaVO3: optimized geometry, PBE+U.

Cell lengths 14.5975, 3.6594, 5.4903 Å; angles 90.00, 90.00, 90.00 degrees
Atoms (fractional coordinates):
Na  0.1728  0.2500  0.1117
Na  0.3272  0.7500  0.6117
Na  0.6728  0.2500  0.3883
Na  0.8272  0.7500  0.8883
V  0.0851  0.7500  0.5732
V  0.4149  0.2500  0.0732
V  0.5851  0.7500  0.9268
V  0.9149  0.2500  0.4268
O  0.0517  0.2500  0.5042
O  0.1117  0.7500  0.8686
O  0.1836  0.7500  0.4093
O  0.3164  0.2500  0.9093
O  0.3883  0.2500  0.3686
O  0.4483  0.7500  0.0042
O  0.5517  0.2500  0.9958
O  0.6117  0.7500  0.6314
O  0.6836  0.7500  0.0907
O  0.8164  0.2500  0.5907
O  0.8883  0.2500  0.1314
O  0.9483  0.7500  0.4958

Calculated values
* calculated formation energy: -2.378 eV/atom



NaV2O4: optimized geometry, PBE+U.

Cell lengths 9.3196, 2.9209, 10.8897 Å; angles 90.00, 90.00, 90.00 degrees
Atoms (fractional coordinates):
Na  0.2432  0.2500  0.1526
Na  0.2568  0.7500  0.6526
Na  0.7432  0.2500  0.3474
Na  0.7568  0.7500  0.8474
V  0.0643  0.2500  0.3878
V  0.0813  0.2500  0.8959
V  0.4187  0.7500  0.3959
V  0.4357  0.7500  0.8878
V  0.5643  0.2500  0.1122
V  0.5813  0.2500  0.6041
V  0.9187  0.7500  0.1041
V  0.9357  0.7500  0.6122
O  0.0224  0.7500  0.7812
O  0.0772  0.2500  0.5706
O  0.1127  0.7500  0.0204
O  0.2081  0.7500  0.3511
O  0.2919  0.2500  0.8511
O  0.3873  0.2500  0.5204
O  0.4228  0.7500  0.0706
O  0.4776  0.2500  0.2812
O  0.5224  0.7500  0.7188
O  0.5772  0.2500  0.9294
O  0.6127  0.7500  0.4796
O  0.7081  0.7500  0.1489
O  0.7919  0.2500  0.6489
O  0.8873  0.2500  0.9796
O  0.9228  0.7500  0.4294
O  0.9776  0.2500  0.2188

Calculated values
* E above lowest polymorph: 10 meV/atom
* calculated formation energy: -2.421 eV/atom



NaVO3: optimized geometry, PBE+U.

Cell lengths 7.8170, 7.8170, 7.8170 Å; angles 106.85, 91.58, 133.04 degrees
Atoms (fractional coordinates):
Na  0.2500  0.0428  0.7928
Na  0.2500  0.4572  0.2072
Na  0.7500  0.5428  0.7928
Na  0.7500  0.9572  0.2072
V  0.2199  0.5845  0.8045
V  0.2801  0.0845  0.3646
V  0.7199  0.9155  0.6354
V  0.7801  0.4155  0.1955
O  0.0811  0.7500  0.3311
O  0.1270  0.1065  0.2335
O  0.1539  0.7461  0.9000
O  0.3461  0.2461  0.5922
O  0.3730  0.6065  0.9796
O  0.4189  0.7500  0.6689
O  0.5811  0.2500  0.3311
O  0.6270  0.3935  0.0204
O  0.6539  0.7539  0.4078
O  0.8461  0.2539  0.1000
O  0.8730  0.8935  0.7665
O  0.9189  0.2500  0.6689

Calculated values
* calculated formation energy: -2.337 eV/atom



NaV2O4: optimized geometry, PBE+U.

Cell lengths 6.6292, 6.6292, 5.1921 Å; angles 103.43, 103.43, 53.27 degrees
Atoms (fractional coordinates):
Na  0.1912  0.8088  0.5000
Na  0.8088  0.1912  0.0000
V  0.1237  0.3739  0.5017
V  0.3739  0.1237  0.0017
V  0.6288  0.8818  0.4966
V  0.8818  0.6288  0.9966
O  0.0380  0.2763  0.7762
O  0.2326  0.4479  0.2195
O  0.2763  0.0380  0.2762
O  0.4479  0.2326  0.7195
O  0.5243  0.8047  0.7900
O  0.7195  0.9730  0.2159
O  0.8047  0.5243  0.2900
O  0.9730  0.7195  0.7159

Calculated values
* E above lowest polymorph: 13 meV/atom
* calculated formation energy: -2.418 eV/atom



NaVO3: optimized geometry, PBE+U.

Cell lengths 7.3204, 7.3204, 6.0164 Å; angles 104.94, 104.94, 84.00 degrees
Atoms (fractional coordinates):
Na  0.0911  0.9089  0.7500
Na  0.2765  0.7235  0.2500
Na  0.7235  0.2765  0.7500
Na  0.9089  0.0911  0.2500
V  0.2049  0.3806  0.7736
V  0.3806  0.2049  0.2736
V  0.6194  0.7951  0.7264
V  0.7951  0.6194  0.2264
O  0.0289  0.2267  0.6685
O  0.1166  0.6030  0.8249
O  0.2267  0.0289  0.1685
O  0.3472  0.3534  0.0622
O  0.3534  0.3472  0.5622
O  0.3970  0.8834  0.6751
O  0.6030  0.1166  0.3249
O  0.6466  0.6528  0.4378
O  0.6528  0.6466  0.9378
O  0.7733  0.9711  0.8315
O  0.8834  0.3970  0.1751
O  0.9711  0.7733  0.3315

Calculated values
* calculated formation energy: -2.380 eV/atom



Na5VO5: optimized geometry, PBE+U.

Cell lengths 5.8594, 16.2954, 6.6741 Å; angles 90.00, 90.00, 90.00 degrees
Atoms (fractional coordinates):
Na  0.0000  0.2310  0.2500
Na  0.0000  0.2690  0.7500
Na  0.0000  0.7310  0.2500
Na  0.0000  0.7690  0.7500
Na  0.2100  0.0828  0.0139
Na  0.2100  0.0828  0.4861
Na  0.2100  0.4172  0.5139
Na  0.2100  0.4172  0.9861
Na  0.3349  0.5846  0.2500
Na  0.3349  0.9154  0.7500
Na  0.4887  0.7500  0.0000
Na  0.4887  0.7500  0.5000
Na  0.5113  0.2500  0.0000
Na  0.5113  0.2500  0.5000
Na  0.6651  0.0846  0.2500
Na  0.6651  0.4154  0.7500
Na  0.7900  0.5828  0.0139
Na  0.7900  0.5828  0.4861
Na  0.7900  0.9172  0.5139
Na  0.7900  0.9172  0.9861
V  0.2227  0.5934  0.7500
V  0.2227  0.9066  0.2500
V  0.7773  0.0934  0.7500
V  0.7773  0.4066  0.2500
O  0.0298  0.5119  0.7500
O  0.0298  0.9881  0.2500
O  0.1642  0.6535  0.5383
O  0.1642  0.6535  0.9617
O  0.1642  0.8465  0.0383
O  0.1642  0.8465  0.4617
O  0.3504  0.1729  0.2500
O  0.3504  0.3271  0.7500
O  0.4977  0.0558  0.7500
O  0.4977  0.4442  0.2500
O  0.5023  0.5558  0.7500
O  0.5023  0.9442  0.2500
O  0.6496  0.6729  0.2500
O  0.6496  0.8271  0.7500
O  0.8358  0.1535  0.5383
O  0.8358  0.1535  0.9617
O  0.8358  0.3465  0.0383
O  0.8358  0.3465  0.4617
O  0.9702  0.0119  0.7500
O  0.9702  0.4881  0.2500

Calculated values
* E above lowest polymorph: 0 meV/atom
* calculated formation energy: -2.059 eV/atom